1.
SrCuP2O7 after structural relaxation, computed with PBE.

Structure (POSCAR):
```
SrCuP2O7
1.0
-6.940 -1.105 -4.243
2.849 0.160 -4.702
4.377 -12.323 -3.949
Sr Cu P O
4 4 8 28
Cartesian
1.418 -9.423 -10.288
2.357 -9.800 -3.785
-1.132 -3.845 -2.606
-2.071 -3.469 -9.109
-1.118 -11.827 -8.661
2.143 -7.834 -7.093
1.404 -1.442 -4.233
-1.857 -5.434 -5.801
-2.094 -9.120 -9.494
1.612 -10.781 -7.182
2.380 -4.149 -3.400
-1.326 -2.488 -5.712
-0.666 -6.972 -8.113
3.922 -12.334 -6.279
0.952 -6.297 -4.781
-3.635 -0.934 -6.615
3.359 -8.097 -5.605
0.645 -11.089 -8.328
-3.073 -5.172 -7.289
-0.359 -2.179 -4.566
-1.142 -9.507 -10.613
0.955 -10.347 -5.883
1.428 -3.762 -2.281
-0.669 -2.922 -7.011
-1.899 -9.968 -8.206
2.629 -9.740 -7.730
2.185 -3.301 -4.688
-2.342 -3.528 -5.164
-1.801 -7.581 -9.109
2.424 -12.144 -6.891
2.088 -5.688 -3.785
-2.138 -1.125 -6.003
-3.792 -2.085 -7.648
-0.279 -5.367 -4.597
4.078 -11.183 -5.246
0.565 -7.901 -8.297
-4.615 -1.152 -5.429
1.519 -6.145 -6.220
4.901 -12.117 -7.465
-1.233 -7.123 -6.674
0.737 -11.873 -11.177
0.730 -7.718 -4.308
-0.451 -1.396 -1.717
-0.444 -5.551 -8.586
```

## Properties
calculated total energy	-6.88	eV per atom

2.
SrCu2P2O8 after structural relaxation, computed with PBE.

Structure (POSCAR):
```
SrCu2P2O8
1.0
8.056 0.000 0.000
0.000 10.549 0.000
0.000 0.000 15.551
Sr Cu P O
8 16 16 64
Cartesian
7.832 9.640 1.928
3.804 0.909 9.704
0.224 6.183 9.704
4.252 9.640 5.847
4.252 4.366 1.928
7.832 4.366 5.847
0.224 0.909 13.623
3.804 6.183 13.623
0.664 0.534 5.091
7.392 10.015 10.460
7.299 3.061 1.193
0.664 5.809 2.685
7.392 4.740 12.867
4.784 8.335 1.193
0.756 7.488 14.359
3.272 2.214 14.359
3.272 7.488 8.968
4.784 3.061 6.583
3.364 5.809 5.091
3.364 0.534 2.685
4.692 4.740 10.460
4.692 10.015 12.867
0.756 2.214 8.968
7.299 8.335 6.583
2.014 3.458 11.664
6.042 7.429 11.664
6.408 6.010 0.103
2.014 8.733 11.664
1.648 9.814 7.879
2.380 9.814 15.448
2.014 3.120 3.888
5.676 0.735 0.103
6.042 2.155 11.664
6.042 7.091 3.888
1.648 4.539 15.448
5.676 6.010 7.672
6.042 1.816 3.888
6.408 0.735 7.672
2.014 8.394 3.888
2.380 4.539 7.879
5.264 4.999 6.551
6.186 5.304 14.294
0.695 8.598 7.837
7.361 7.225 0.061
4.765 0.934 4.011
2.158 10.519 1.257
6.113 7.997 2.623
4.955 1.213 7.281
5.971 7.997 5.153
1.943 7.827 10.399
7.280 6.545 12.033
6.113 2.722 5.153
0.776 9.279 4.257
0.776 4.004 3.518
7.319 6.208 4.011
5.264 10.273 1.225
5.971 2.722 2.623
2.486 7.583 5.122
1.542 7.583 2.654
2.085 2.552 10.399
0.927 4.061 8.270
3.252 9.279 3.518
0.737 9.615 11.786
1.870 5.245 1.257
4.765 6.208 3.765
1.236 5.550 14.326
5.898 0.030 14.294
0.737 4.341 11.541
7.129 6.488 7.281
7.361 1.951 7.715
0.695 3.324 15.490
2.085 7.827 12.928
1.943 2.552 12.928
3.333 3.324 7.837
2.158 5.245 6.519
3.291 4.341 11.786
3.252 4.004 4.257
6.186 0.030 9.033
6.514 8.241 10.430
6.514 2.966 12.897
7.280 1.270 11.294
2.792 0.276 14.326
4.804 6.545 11.294
3.101 9.336 8.270
4.723 1.951 0.061
1.542 2.308 5.122
3.291 9.615 11.541
4.723 7.225 7.715
3.101 4.061 15.057
6.820 10.273 6.551
5.898 5.304 9.033
1.870 10.519 6.519
7.319 0.934 3.765
3.333 8.598 15.490
1.236 0.276 9.001
2.486 2.308 2.654
0.927 9.336 15.057
5.570 2.966 10.430
4.955 6.488 0.494
6.820 4.999 1.225
4.804 1.270 12.033
2.792 5.550 9.001
7.129 1.213 0.494
5.570 8.241 12.897
```

## Properties
calculated total energy	-6.58	eV per atom

3.
SrTiCu4P4O17 after structural relaxation, computed with PBE.

Structure (POSCAR):
```
SrTiCu4P4O17
1.0
9.641 0.000 0.000
0.000 9.641 0.000
0.000 0.000 7.129
Sr Ti Cu P O
2 2 8 8 34
Cartesian
4.820 4.820 0.000
0.000 0.000 0.000
0.000 4.820 6.995
4.820 0.000 0.134
7.388 5.009 2.865
2.253 4.632 2.865
7.073 0.188 4.264
2.568 9.453 4.264
5.009 7.388 4.264
4.632 2.253 4.264
0.188 7.073 2.865
9.453 2.568 2.865
7.457 3.043 5.290
2.184 6.598 5.290
7.005 7.863 1.840
2.636 1.778 1.840
3.043 7.457 1.840
6.598 2.184 1.840
7.863 7.005 5.290
1.778 2.636 5.290
8.119 3.555 3.949
1.521 6.086 3.949
6.342 8.376 3.180
3.299 1.265 3.180
3.555 8.119 3.180
6.086 1.521 3.180
8.376 6.342 3.949
1.265 3.299 3.949
5.933 3.333 5.256
3.708 6.308 5.256
8.528 8.153 1.873
1.113 1.487 1.873
3.333 5.933 1.873
6.308 3.708 1.873
8.153 8.528 5.256
1.487 1.113 5.256
7.994 3.868 6.472
1.647 5.773 6.472
6.468 8.688 0.657
3.173 0.953 0.657
3.868 7.994 0.657
5.773 1.647 0.657
8.688 6.468 6.472
0.953 3.173 6.472
0.000 4.820 1.572
4.820 0.000 5.557
7.840 1.554 5.439
1.801 8.087 5.439
6.621 6.374 1.690
3.020 3.267 1.690
1.554 7.840 1.690
8.087 1.801 1.690
6.374 6.621 5.439
3.267 3.020 5.439
```

## Properties
calculated total energy	-6.84	eV per atom

4.
SrZnCuP2O8 after structural relaxation, computed with PBE.

Structure (POSCAR):
```
SrZnCuP2O8
1.0
5.487 -0.107 -1.151
-1.532 6.304 -2.311
-0.155 0.068 9.268
Sr Zn Cu P O
2 2 2 4 16
Cartesian
0.159 5.031 -1.617
3.642 1.234 7.422
4.749 2.362 3.906
-0.949 3.903 1.900
2.117 5.299 2.372
1.683 0.965 3.434
1.493 2.657 0.774
2.307 3.608 5.032
4.524 0.082 1.758
-0.723 6.183 4.048
3.443 3.520 6.072
2.872 2.965 0.117
2.258 4.997 4.348
4.913 0.558 5.025
0.928 3.300 5.689
-1.029 4.693 3.709
4.830 1.572 2.097
1.317 0.070 7.781
1.542 1.267 1.457
2.484 6.195 -1.975
0.357 2.745 -0.266
1.078 3.724 1.880
2.723 2.541 3.925
1.941 5.795 0.440
-1.113 5.707 0.780
1.860 0.469 5.365
```

## Properties
excess energy over the best structure of this formula in the dataset	0.0	kJ/mol of atoms
calculated total energy	-6.52	eV per atom

5.
ThCuPO after structural relaxation, computed with PBE.

Structure (POSCAR):
```
ThCuPO
1.0
-1.943 -2.783 1.944
3.369 -1.305 1.500
-0.887 5.127 6.454
Th Cu P O
2 2 2 2
Cartesian
1.389 1.052 2.896
-1.564 2.030 5.280
0.000 0.000 0.000
0.713 -2.044 1.722
0.948 3.603 6.108
-1.122 -0.521 2.068
-0.444 2.563 3.227
0.269 0.519 4.949
```

## Properties
calculated total energy	-7.47	eV per atom

6.
TiCuP2O8 after structural relaxation, computed with PBE.

Structure (POSCAR):
```
TiCuP2O8
1.0
-4.906 -0.619 3.371
2.745 -1.823 3.660
1.372 9.049 3.658
Ti Cu P O
2 2 4 16
Cartesian
-1.316 5.701 7.100
0.527 0.906 3.589
2.277 4.646 6.823
-3.066 1.961 3.866
1.196 7.189 5.717
-0.363 3.279 8.042
-0.426 3.328 2.646
-1.985 -0.582 4.972
-0.598 6.930 8.371
2.031 6.523 6.809
1.775 6.923 4.284
-0.281 6.664 5.697
-1.647 4.131 8.394
0.260 4.371 7.084
-2.228 4.868 5.619
-0.088 4.609 3.374
-0.701 1.998 7.315
1.439 1.739 5.070
0.858 2.477 2.294
-1.049 2.236 3.605
-0.508 -0.057 4.992
-2.564 -0.316 6.405
-2.820 0.084 3.880
-0.192 -0.323 2.318
```

## Properties
excess energy over the best structure of this formula in the dataset	0.0	kJ/mol of atoms
calculated total energy	-7.33	eV per atom

7.
TiCuP2O8 after structural relaxation, computed with PBE.

Structure (POSCAR):
```
TiCuP2O8
1.0
-3.948 5.369 -5.412
2.773 0.701 -8.095
-4.748 -3.146 -6.424
Ti Cu P O
3 3 6 24
Cartesian
-3.812 1.881 -12.824
-5.079 2.507 -17.088
-2.113 1.043 -7.109
-0.016 0.008 -0.055
-0.858 0.423 -2.886
-2.965 1.464 -9.976
-0.649 2.785 -12.276
-4.039 -1.305 -11.868
-5.657 3.626 -10.664
-0.239 -0.678 -9.249
-1.912 4.231 -8.032
-5.257 0.104 -7.643
-0.418 1.603 -6.485
-2.005 -0.685 -6.349
-3.076 1.796 -5.667
-0.688 4.347 -12.169
0.292 2.138 -11.302
-2.074 2.253 -11.920
-2.777 -2.002 -12.479
-3.717 0.217 -11.730
-4.656 3.975 -15.951
-4.546 2.633 -11.129
1.085 0.091 -9.390
-6.214 1.635 -15.831
-4.383 -1.784 -10.488
-6.989 2.814 -10.521
-1.409 0.269 -8.852
-5.171 4.218 -9.373
-2.189 2.716 -8.261
-3.133 4.942 -7.425
-3.882 0.707 -8.052
-3.526 1.495 -16.651
-5.248 -1.431 -7.731
-2.829 1.141 -14.272
-3.940 3.620 -13.578
-5.506 1.298 -13.453
```

## Properties
excess energy over the best structure of this formula in the dataset	1.5	kJ/mol of atoms
calculated total energy	-7.31	eV per atom

8.
Ti2CuP3O12 after structural relaxation, computed with PBE.

Structure (POSCAR):
```
Ti2CuP3O12
1.0
7.496 -4.328 0.000
7.496 4.328 0.000
4.997 0.000 7.068
Ti Cu P O
4 2 6 24
Cartesian
17.158 0.000 6.067
12.827 0.000 4.535
7.163 0.000 2.533
2.832 0.000 1.001
0.000 0.000 0.000
9.995 0.000 3.534
11.772 -3.077 3.810
12.494 1.826 1.767
10.717 1.251 6.792
9.273 -1.251 0.276
7.496 -1.826 5.301
8.218 3.077 3.258
14.280 -0.768 3.536
13.345 -0.851 6.180
11.329 -3.717 5.151
13.788 1.619 4.926
3.350 0.851 2.646
11.693 -1.534 3.944
12.942 0.923 0.589
12.046 0.923 2.945
15.705 -0.768 7.066
11.160 0.612 5.451
9.194 -2.794 0.410
16.197 1.619 5.676
3.793 -1.619 1.392
10.796 2.794 6.658
8.830 -0.612 1.617
4.285 0.768 0.002
7.944 -0.923 4.123
7.048 -0.923 6.479
8.297 1.534 3.124
16.640 -0.851 4.422
6.202 -1.619 2.142
8.661 3.717 1.917
6.645 0.851 0.888
5.710 0.768 3.532
```

## Properties
calculated total energy	-7.65	eV per atom

9.
TiZnCuP3O12 after structural relaxation, computed with PBE.

Structure (POSCAR):
```
TiZnCuP3O12
1.0
7.345 -4.301 0.000
7.345 4.301 0.000
4.827 0.000 7.011
Ti Zn Cu P O
2 2 2 6 24
Cartesian
16.721 0.000 6.007
6.962 0.000 2.501
0.079 0.000 0.028
9.838 0.000 3.534
12.590 0.000 4.523
2.831 0.000 1.017
11.473 3.034 3.807
12.211 -1.773 1.752
10.434 -1.260 6.697
9.059 1.268 0.301
7.279 1.773 5.258
8.021 -3.041 3.192
13.922 0.837 3.384
12.905 0.899 6.215
11.156 3.693 5.193
13.395 -1.736 4.850
10.492 3.402 2.709
11.323 1.491 3.915
12.803 -0.881 0.608
11.687 -0.870 2.902
15.333 0.811 6.992
10.814 -0.622 5.333
8.910 2.810 0.410
15.804 -1.615 5.682
10.982 -2.565 1.345
10.640 -2.812 6.628
8.743 0.608 1.687
8.990 -0.837 6.890
7.871 0.881 4.114
6.755 0.870 6.408
8.227 -1.489 3.123
16.279 0.804 4.360
6.045 1.615 2.176
8.400 -3.680 1.827
6.520 -0.804 0.854
5.575 -0.811 3.487
```

## Properties
calculated total energy	-6.92	eV per atom